Record 1
The following is a DFT calculation (GGA+U) of a relaxed MgFe2O5 crystal.

Summary:
Energy above the most stable polymorph in this dataset ... 0 meV per atom
Volume ... 372.86 Å³/cell
Energy of formation ... -1.738 eV per atom
Final energy ... -6.1548 eV per atom

a b c (Å): 3.919 9.753 9.756
angles (deg): 90.00 90.00 90.00
Space group Cmcm (No. 63)
One atom of each set of equivalent atoms:
Mg (0.000, 0.205, 0.250) [4 per cell]
Fe (0.000, 0.139, 0.561) [8 per cell]
O (0.000, 0.047, 0.115) [8 per cell]
O (0.000, 0.215, 0.750) [4 per cell]
O (0.000, 0.310, 0.057) [8 per cell]

---

Record 2
The following is a DFT calculation (GGA+U) of a relaxed Ca4Al6WO16 crystal.

Summary:
Energy above the most stable polymorph in this dataset ... 0 meV per atom
Volume ... 3289.39 Å³/cell
Energy of formation ... -3.291 eV per atom
Final energy ... -7.2611 eV per atom

a b c (Å): 26.387 13.224 9.427
angles (deg): 90.00 90.00 90.00
Space group Aea2 (No. 41)
One atom of each set of equivalent atoms:
Ca (0.017, 0.232, 0.000) [8 per cell]
Ca (0.120, 0.486, 0.542) [8 per cell]
Ca (0.138, 0.026, 0.576) [8 per cell]
Ca (0.250, 0.238, 0.044) [8 per cell]
Al (0.000, 0.000, 0.039) [4 per cell]
Al (0.000, 0.000, 0.524) [4 per cell]
Al (0.060, 0.134, 0.290) [8 per cell]
Al (0.063, 0.386, 0.273) [8 per cell]
Al (0.185, 0.125, 0.295) [8 per cell]
Al (0.190, 0.374, 0.307) [8 per cell]
Al (0.243, 0.497, 0.552) [8 per cell]
W (0.136, 0.260, 0.797) [8 per cell]
O (0.017, 0.112, 0.430) [8 per cell]
O (0.033, 0.409, 0.438) [8 per cell]
O (0.046, 0.260, 0.232) [8 per cell]
O (0.047, 0.068, 0.130) [8 per cell]
O (0.054, 0.465, 0.124) [8 per cell]
O (0.089, 0.181, 0.881) [8 per cell]
O (0.106, 0.364, 0.708) [8 per cell]
O (0.122, 0.106, 0.348) [8 per cell]
O (0.126, 0.414, 0.313) [8 per cell]
O (0.171, 0.183, 0.668) [8 per cell]
O (0.179, 0.309, 0.931) [8 per cell]
O (0.195, 0.076, 0.121) [8 per cell]
O (0.209, 0.249, 0.276) [8 per cell]
O (0.209, 0.395, 0.485) [8 per cell]
O (0.212, 0.452, 0.173) [8 per cell]
O (0.220, 0.075, 0.440) [8 per cell]

---

Record 3
The following is a DFT calculation (GGA+U) of a relaxed Cs4Mn2PdF12 crystal.

Summary:
Volume ... 1508.36 Å³/cell
Energy of formation ... -2.749 eV per atom
Final energy ... -4.9161 eV per atom

a b c (Å): 8.738 8.738 19.757
angles (deg): 90.00 90.00 90.00
Space group I4_1/amd (No. 141, origin choice 2)
One atom of each set of equivalent atoms:
Cs (0.242, 0.000, 0.000) [16 per cell]
Mn (0.000, 0.250, 0.128) [8 per cell]
Pd (0.000, 0.250, 0.375) [4 per cell]
F (0.000, 0.018, 0.376) [16 per cell]
F (0.000, 0.037, 0.128) [16 per cell]
F (0.000, 0.250, 0.032) [8 per cell]
F (0.000, 0.250, 0.223) [8 per cell]